A plane-wave DFT calculation with r²SCAN was carried out for a relaxed structure of Hf2Rh.

Unit cell a=12.2802 b=12.2802 c=12.2802 alpha=90.00 beta=90.00 gamma=90.00
Space group Fd-3m (No. 227, origin choice 2)
Inequivalent atoms, fractional coordinates:
Hf 0.0000 0.0000 0.0000 [16 per cell]
Hf 0.0612 0.3750 0.8750 [48 per cell]
Rh 0.0282 0.0282 0.2218 [32 per cell]

Properties
The crystal system is cubic. The calculated volume comes out at 19.29 A^3/atom. Its spin magnetization is 0.00 μB/f.u. The calculation puts the total energy at -3725.8 eV per cell.